# 1
{
  "formula": "BaB2O4",
  "functional": "GGA-PBE",
  "state": "relaxed",
  "cell": [[7.642, 4.196, 2.812], [-4.785, 4.250, 4.309], [-2.705, -10.545, 8.165]],
  "species": ["Ba", "Ba", "Ba", "Ba", "Ba", "Ba", "B", "B", "B", "B", "B", "B", "B", "B", "B", "B", "B", "B", "O", "O", "O", "O", "O", "O", "O", "O", "O", "O", "O", "O", "O", "O", "O", "O", "O", "O", "O", "O", "O", "O", "O", "O"],
  "frac_coords": [[0.878, 0.668, 0.390], [0.488, 0.168, 0.610], [0.047, 0.240, 0.354], [0.082, 0.483, 0.655], [0.427, 0.983, 0.345], [0.693, 0.740, 0.646], [0.081, 0.803, 0.213], [0.868, 0.303, 0.787], [0.899, 0.076, 0.833], [0.995, 0.798, 0.931], [0.064, 0.298, 0.069], [0.066, 0.576, 0.167], [0.518, 0.612, 0.192], [0.326, 0.112, 0.808], [0.392, 0.827, 0.796], [0.475, 0.564, 0.910], [0.565, 0.064, 0.090], [0.596, 0.327, 0.204], [0.777, 0.173, 0.829], [0.948, 0.673, 0.171], [0.096, 0.964, 0.239], [0.076, 0.194, 0.006], [0.069, 0.694, 0.994], [0.857, 0.464, 0.761], [0.051, 0.400, 0.140], [0.910, 0.900, 0.860], [0.202, 0.679, 0.219], [0.293, 0.132, 0.443], [0.850, 0.632, 0.557], [0.983, 0.179, 0.781], [0.564, 0.761, 0.226], [0.337, 0.261, 0.774], [0.564, 0.475, 0.975], [0.477, 0.449, 0.164], [0.313, 0.949, 0.836], [0.589, 0.975, 0.025], [0.377, 0.658, 0.840], [0.537, 0.158, 0.160], [0.613, 0.983, 0.524], [0.728, 0.364, 0.278], [0.449, 0.864, 0.722], [0.089, 0.483, 0.476]],
  "ef_ev_per_atom": -2.526,
  "polymorph_energy_kj_per_mol_atoms": 55.1,
  "volume_a3_per_cell": 901.7,
  "magnetic_moment_mub_per_cell": 0.003,
  "corrected_energy_ev_per_cell": -316.50
}

# 2
{
  "formula": "Y2Co17H3",
  "functional": "GGA-PBE",
  "state": "relaxed",
  "cell": [[-1.707, -4.977, -3.461], [2.153, -4.398, 3.961], [-5.473, -1.064, 2.930]],
  "species": ["Y", "Y", "Co", "Co", "Co", "Co", "Co", "Co", "Co", "Co", "Co", "Co", "Co", "Co", "Co", "Co", "Co", "Co", "Co", "H", "H", "H"],
  "frac_coords": [[0.656, 0.656, 0.656], [0.344, 0.344, 0.344], [0.000, 0.000, 0.500], [0.000, 0.500, 0.000], [0.500, 0.000, 0.000], [0.284, 0.716, 0.000], [0.716, 0.000, 0.284], [0.000, 0.284, 0.716], [0.284, 0.000, 0.716], [0.000, 0.716, 0.284], [0.716, 0.284, 0.000], [0.346, 0.346, 0.854], [0.346, 0.854, 0.346], [0.854, 0.346, 0.346], [0.654, 0.654, 0.146], [0.654, 0.146, 0.654], [0.146, 0.654, 0.654], [0.904, 0.904, 0.904], [0.096, 0.096, 0.096], [0.500, 0.500, 0.000], [0.500, 0.000, 0.500], [0.000, 0.500, 0.500]],
  "ef_ev_per_atom": -0.144,
  "volume_a3_per_cell": 245.3,
  "magnetic_moment_mub_per_cell": 24.121,
  "corrected_energy_ev_per_cell": -147.12
}

# 3
{
  "formula": "K2ScInCl6",
  "functional": "GGA-PBE",
  "state": "relaxed",
  "cell": [[-3.713, -6.828, -0.592], [-6.189, -1.475, 4.504], [-7.126, -0.302, -3.145]],
  "species": ["K", "K", "Sc", "In", "Cl", "Cl", "Cl", "Cl", "Cl", "Cl"],
  "frac_coords": [[0.750, 0.750, 0.750], [0.250, 0.250, 0.250], [0.000, 0.000, 0.000], [0.500, 0.500, 0.500], [0.773, 0.227, 0.227], [0.227, 0.227, 0.773], [0.227, 0.773, 0.773], [0.227, 0.773, 0.227], [0.773, 0.227, 0.773], [0.773, 0.773, 0.227]],
  "ef_ev_per_atom": -2.127,
  "volume_a3_per_cell": 334.9,
  "magnetic_moment_mub_per_cell": 0.001,
  "corrected_energy_ev_per_cell": -43.66
}

# 4
{
  "formula": "SmAlGe",
  "functional": "GGA-PBE",
  "state": "relaxed",
  "cell": [[4.226, 0.000, 0.000], [0.000, 4.226, 0.000], [-2.113, -2.113, 7.356]],
  "species": ["Sm", "Sm", "Al", "Al", "Ge", "Ge"],
  "frac_coords": [[0.335, 0.335, 0.670], [0.585, 0.085, 0.170], [0.919, 0.919, 0.838], [0.169, 0.669, 0.338], [0.004, 0.504, 0.007], [0.754, 0.754, 0.507]],
  "ef_ev_per_atom": -0.665,
  "volume_a3_per_cell": 131.4
}